# MgFe4Co2O8

A geometry-optimized MgFe4Co2O8 structure (PBE with a Hubbard U, the Materials Project).

The value obtained for the energy is -93.9 eV for the cell shown. Its energy relative to the lowest polymorph listed for this composition is 45 meV/atom. As for the symmetry: Cm, No. 8. The calculation puts the energy of formation at -1.49 eV/atom.

The structure in extended XYZ format:
```
15
Lattice="5.328 -3.024 0.000 5.328 3.024 0.000 -4.121 0.000 5.205" Properties=species:S:1:pos:R:3 pbc="T T T"
Mg 0.000 0.000 0.000
Fe -1.199 0.000 3.286
Fe 6.943 1.361 1.248
Fe 4.403 0.000 3.489
Fe 6.943 -1.361 1.248
Co 1.625 0.000 3.618
Co 3.960 0.000 0.715
O 0.218 1.472 4.436
O -2.102 0.000 5.093
O 0.362 0.000 2.010
O 3.211 1.395 2.542
O 0.218 -1.472 4.436
O 3.077 0.000 4.976
O 5.596 0.000 1.903
O 3.211 -1.395 2.542
```